Computed, not measured: a geometry-optimized La2PdO2F2 structure at the GGA-PBE level of DFT.

Cell: 6.969 6.969 6.969 Å, 144.81 144.81 50.62°
Fractional coordinates of all 7 atoms:
La 0.374 0.374 0.000
La 0.626 0.626 0.000
Pd 0.000 0.000 0.000
O 0.500 0.000 0.500
O 0.000 0.500 0.500
F 0.750 0.250 0.500
F 0.250 0.750 0.500

Values from the calculation:
For the density, the calculation gives 6.74 Mg/m³. The formation energy is -3.013 eV per atom. The value obtained for the calculated volume is 15.976 Å³/atom.

***

Computed, not measured: a geometry-optimized La5Sb4O12F3 structure at the GGA-PBE level of DFT.

Cell: 12.293 12.293 11.624 Å, 90.00 90.00 90.00°
Fractional coordinates of all 96 atoms:
La 0.148 0.329 0.605
La 0.171 0.352 0.105
La 0.352 0.829 0.895
La 0.000 0.500 0.351
La 0.671 0.148 0.395
La 0.171 0.648 0.605
La 0.648 0.171 0.895
La 0.000 0.500 0.851
La 0.500 0.000 0.649
La 0.648 0.829 0.395
La 0.671 0.852 0.895
La 0.352 0.171 0.395
La 0.829 0.352 0.605
La 0.829 0.648 0.105
La 0.329 0.148 0.895
La 0.852 0.671 0.605
La 0.852 0.329 0.105
La 0.148 0.671 0.105
La 0.500 0.000 0.149
La 0.329 0.852 0.395
Sb 0.799 0.986 0.129
Sb 0.014 0.799 0.871
Sb 0.201 0.014 0.129
Sb 0.986 0.799 0.371
Sb 0.799 0.014 0.629
Sb 0.014 0.201 0.371
Sb 0.201 0.986 0.629
Sb 0.299 0.486 0.871
Sb 0.299 0.514 0.371
Sb 0.514 0.299 0.129
Sb 0.986 0.201 0.871
Sb 0.486 0.299 0.629
Sb 0.486 0.701 0.129
Sb 0.701 0.514 0.871
Sb 0.514 0.701 0.629
Sb 0.701 0.486 0.371
O 0.474 0.809 0.257
O 0.809 0.526 0.743
O 0.479 0.173 0.026
O 0.691 0.026 0.757
O 0.800 0.838 0.063
O 0.191 0.474 0.743
O 0.338 0.700 0.063
O 0.191 0.526 0.243
O 0.309 0.974 0.757
O 0.173 0.479 0.474
O 0.026 0.691 0.743
O 0.327 0.021 0.526
O 0.338 0.300 0.563
O 0.800 0.162 0.563
O 0.662 0.300 0.063
O 0.200 0.162 0.063
O 0.021 0.327 0.974
O 0.200 0.838 0.563
O 0.521 0.173 0.526
O 0.673 0.979 0.526
O 0.974 0.691 0.243
O 0.173 0.521 0.974
O 0.662 0.700 0.563
O 0.300 0.338 0.937
O 0.974 0.309 0.743
O 0.979 0.327 0.474
O 0.300 0.662 0.437
O 0.827 0.521 0.474
O 0.526 0.809 0.757
O 0.479 0.827 0.526
O 0.979 0.673 0.974
O 0.700 0.662 0.937
O 0.026 0.309 0.243
O 0.691 0.974 0.257
O 0.838 0.800 0.437
O 0.474 0.191 0.757
O 0.809 0.474 0.243
O 0.673 0.021 0.026
O 0.827 0.479 0.974
O 0.309 0.026 0.257
O 0.526 0.191 0.257
O 0.162 0.200 0.437
O 0.327 0.979 0.026
O 0.521 0.827 0.026
O 0.162 0.800 0.937
O 0.021 0.673 0.474
O 0.700 0.338 0.437
O 0.838 0.200 0.937
F 0.500 0.000 0.370
F 0.805 0.805 0.750
F 0.305 0.695 0.750
F 0.500 0.000 0.870
F 0.000 0.500 0.130
F 0.305 0.305 0.250
F 0.805 0.195 0.250
F 0.695 0.695 0.250
F 0.695 0.305 0.750
F 0.000 0.500 0.630
F 0.195 0.805 0.250
F 0.195 0.195 0.750

Values from the calculation:
For the density, the calculation gives 5.41 Mg/m³. The formation energy is -3.189 eV per atom. The value obtained for the calculated volume is 18.298 Å³/atom.

***

Computed, not measured: a geometry-optimized LaSeO3F structure at the GGA-PBE level of DFT.

Cell: 7.218 8.542 18.361 Å, 83.23 90.00 90.00°
Fractional coordinates of all 72 atoms:
La 0.666 0.383 0.154
La 0.669 0.203 0.954
La 0.831 0.703 0.954
La 0.166 0.117 0.846
La 0.834 0.883 0.154
La 0.177 0.186 0.549
La 0.677 0.314 0.451
La 0.323 0.686 0.549
La 0.169 0.297 0.046
La 0.334 0.617 0.846
La 0.331 0.797 0.046
La 0.823 0.814 0.451
Se 0.904 0.096 0.303
Se 0.679 0.022 0.600
Se 0.828 0.477 0.803
Se 0.179 0.478 0.400
Se 0.404 0.404 0.697
Se 0.672 0.977 0.803
Se 0.321 0.978 0.400
Se 0.096 0.904 0.697
Se 0.172 0.523 0.197
Se 0.596 0.596 0.303
Se 0.821 0.522 0.600
Se 0.328 0.023 0.197
O 0.984 0.588 0.848
O 0.111 0.715 0.172
O 0.016 0.412 0.152
O 0.094 0.640 0.436
O 0.889 0.285 0.828
O 0.389 0.215 0.172
O 0.516 0.088 0.848
O 0.746 0.627 0.229
O 0.640 0.471 0.863
O 0.933 0.896 0.302
O 0.349 0.436 0.468
O 0.735 0.589 0.380
O 0.027 0.324 0.425
O 0.754 0.127 0.229
O 0.651 0.564 0.532
O 0.473 0.824 0.425
O 0.246 0.873 0.771
O 0.151 0.936 0.468
O 0.235 0.911 0.620
O 0.594 0.860 0.564
O 0.527 0.176 0.575
O 0.406 0.140 0.436
O 0.360 0.529 0.137
O 0.265 0.411 0.620
O 0.254 0.373 0.771
O 0.849 0.064 0.532
O 0.433 0.604 0.698
O 0.611 0.785 0.828
O 0.140 0.029 0.137
O 0.906 0.360 0.564
O 0.860 0.971 0.863
O 0.765 0.089 0.380
O 0.973 0.676 0.575
O 0.484 0.912 0.152
O 0.067 0.104 0.698
O 0.567 0.396 0.302
F 0.293 0.344 0.915
F 0.501 0.345 0.038
F 0.207 0.844 0.915
F 0.707 0.656 0.085
F 0.001 0.155 0.962
F 0.999 0.845 0.038
F 0.848 0.422 0.001
F 0.652 0.922 0.001
F 0.793 0.156 0.085
F 0.152 0.578 0.999
F 0.499 0.655 0.962
F 0.348 0.078 0.999

Values from the calculation:
For the density, the calculation gives 5.05 Mg/m³. The formation energy is -2.819 eV per atom. The value obtained for the calculated volume is 15.615 Å³/atom.